[1]
24
Lattice="5.284 0.000 -1.025 0.000 8.808 0.000 -0.719 0.000 7.639" Properties=species:S:1:pos:R:3 comment="VO3, relaxed, DFT PBE with a Hubbard U" delta_e_f_ev_per_atom=-1.53 magmom_total_mub_per_fu=0.3 dft_energy_ev_per_atom=-6.971 pbc="T T T"
V 2.311 4.071 0.915
V 2.254 8.475 5.700
V 2.254 4.737 5.700
V 2.311 0.333 0.915
V 4.972 2.202 -0.470
V -0.408 6.606 7.084
O 3.522 3.546 -0.519
O 1.043 7.951 7.134
O 1.043 5.262 7.134
O 3.522 0.858 -0.519
O 0.699 3.502 1.419
O 3.865 7.906 5.195
O 3.865 5.307 5.195
O 0.699 0.902 1.419
O 3.033 2.202 1.660
O 1.532 6.606 4.954
O -0.436 2.202 6.703
O 5.000 6.606 -0.088
O 2.944 5.022 2.036
O 1.621 0.618 4.578
O 1.621 3.787 4.578
O 2.944 8.191 2.036
O 3.920 2.202 2.638
O 0.645 6.606 3.977



[2]
48
Lattice="-0.001 5.496 0.003 -6.342 0.001 -0.001 0.001 0.007 15.253" Properties=species:S:1:pos:R:3 comment="Li5NiOF5, relaxed, DFT PBE with a Hubbard U" delta_e_f_ev_per_atom=-2.77 magmom_total_mub_per_fu=0.0 e_above_lowest_polymorph_mev_per_atom=42 dft_energy_ev_per_atom=-4.792 pbc="T T T"
Li -3.171 1.836 5.158
Li -4.755 4.584 5.160
Li 0.000 1.836 5.158
Li -1.585 4.584 5.160
Li -3.170 1.837 10.101
Li -4.757 4.586 10.103
Li 0.000 1.837 10.102
Li -1.586 4.586 10.103
Li -1.585 0.920 7.628
Li -3.171 3.668 7.629
Li -4.756 0.921 7.627
Li 0.000 3.668 7.629
Li -1.587 0.921 2.697
Li -3.168 3.669 2.698
Li -4.757 0.921 2.696
Li -6.337 3.670 2.698
Li -1.580 0.921 12.588
Li -3.176 3.670 12.585
Li -4.751 0.923 12.584
Li -0.006 3.670 12.588
Ni -3.142 1.833 15.125
Ni -4.786 4.580 15.125
Ni -6.312 1.832 15.128
Ni -1.613 4.580 15.131
O -1.563 0.919 14.580
O -3.192 3.669 14.578
O -4.734 0.920 14.577
O -0.023 3.666 14.579
F -3.170 1.837 7.050
F -4.756 4.586 7.052
F 0.000 1.837 7.051
F -1.585 4.585 7.052
F -3.166 1.839 11.995
F -4.761 4.587 11.997
F -6.338 1.840 11.996
F -1.589 4.588 11.997
F -3.173 1.838 2.137
F -4.752 4.586 2.137
F -0.002 1.838 2.138
F -1.581 4.586 2.139
F -1.586 0.919 4.585
F -3.170 3.668 4.586
F -4.756 0.920 4.584
F -6.341 3.668 4.586
F -1.585 0.921 9.523
F -3.171 3.669 9.525
F -4.756 0.921 9.523
F 0.000 3.669 9.525



[3]
24
Lattice="5.877 0.000 0.000 0.000 4.845 0.000 0.000 0.035 9.970" Properties=species:S:1:pos:R:3 comment="Ni3SnP4O16, relaxed, DFT PBE with a Hubbard U" delta_e_f_ev_per_atom=-2.11 magmom_total_mub_per_fu=4.0 dft_energy_ev_per_atom=-6.428 pbc="T T T"
Ni 2.939 4.643 2.722
Ni 2.939 2.670 7.735
Ni 0.000 2.210 2.276
Sn 0.000 0.208 7.214
P 0.000 4.403 3.976
P 0.000 2.915 9.099
P 2.939 1.985 0.977
P 2.939 0.445 5.878
O 0.000 3.999 5.481
O 1.203 3.700 3.256
O 4.674 3.700 3.256
O 2.939 3.792 6.110
O 2.939 3.513 1.101
O 1.191 3.625 8.310
O 4.686 3.625 8.310
O 0.000 3.232 0.599
O 2.939 1.672 9.454
O 4.140 1.283 1.715
O 1.737 1.283 1.715
O 0.000 1.391 8.879
O 0.000 1.083 3.891
O 4.140 1.180 6.642
O 1.737 1.180 6.642
O 2.939 0.822 4.405



[4]
48
Lattice="3.596 6.289 0.000 -3.596 6.289 0.000 0.000 3.493 14.520" Properties=species:S:1:pos:R:3 comment="Li2VSi6O15, relaxed, DFT PBE with a Hubbard U" delta_e_f_ev_per_atom=-2.99 magmom_total_mub_per_fu=1.0 e_above_lowest_polymorph_mev_per_atom=61 dft_energy_ev_per_atom=-7.477 pbc="T T T"
Li -1.220 8.714 0.732
Li -1.184 3.302 2.371
Li 1.220 10.460 7.992
Li 1.184 5.048 9.631
V 1.778 7.206 1.409
V -1.778 8.952 8.669
Si -0.337 8.325 3.697
Si -0.232 2.156 6.268
Si 0.337 10.071 10.957
Si 0.232 3.903 13.529
Si 0.620 4.898 6.515
Si 2.224 4.886 3.667
Si -0.620 6.644 13.775
Si -2.224 6.633 10.927
Si -2.979 7.044 3.557
Si 0.421 7.842 6.685
Si 2.979 8.790 10.817
Si -0.421 9.589 13.945
O -0.039 7.135 0.603
O -0.025 1.296 2.181
O 0.121 1.799 4.725
O 1.021 8.322 2.841
O 0.004 8.536 5.269
O 0.039 8.881 7.863
O 2.052 9.067 0.523
O 0.025 3.042 9.441
O -1.216 9.619 3.138
O -0.121 3.545 11.985
O -1.021 10.069 10.101
O -0.618 3.775 6.395
O -0.004 10.283 12.529
O -2.052 10.813 7.783
O 1.393 4.920 5.070
O 1.216 11.365 10.398
O 1.472 5.663 2.465
O 0.141 11.793 3.920
O 0.618 5.522 13.655
O -0.174 6.315 6.778
O -1.393 6.666 12.330
O -1.332 7.032 3.495
O -1.472 7.409 9.725
O -0.141 13.539 11.180
O 2.051 7.619 6.737
O -2.538 8.120 7.187
O 0.174 8.062 14.038
O 1.332 8.779 10.755
O -2.051 9.365 13.997
O 2.538 9.866 14.448



> Number 4 is which compound?

Li2VSi6O15